Density functional theory data (PBE with a Hubbard U) for Li2FeCSO7 after structural relaxation. Values from VASP.

The structure in Quantum ESPRESSO input format:
```
&SYSTEM
  ibrav = 0, nat = 24, ntyp = 5
/
ATOMIC_SPECIES
Li 6.94 Li.upf
Fe 55.84 Fe.upf
C 12.01 C.upf
S 32.06 S.upf
O 16.00 O.upf
CELL_PARAMETERS angstrom
5.065 0.000 0.000
0.000 6.442 0.000
-0.337 0.000 8.773
ATOMIC_POSITIONS crystal
Li 0.231 0.021 0.308
Li 0.231 0.479 0.308
Li 0.769 0.521 0.692
Li 0.769 0.979 0.692
Fe 0.223 0.750 0.851
Fe 0.777 0.250 0.149
C 0.271 0.750 0.560
C 0.729 0.250 0.440
S 0.285 0.250 0.919
S 0.715 0.750 0.081
O 0.040 0.750 0.625
O 0.184 0.066 0.834
O 0.184 0.434 0.834
O 0.189 0.250 0.078
O 0.288 0.750 0.415
O 0.419 0.750 0.073
O 0.480 0.750 0.654
O 0.520 0.250 0.346
O 0.581 0.250 0.927
O 0.712 0.250 0.585
O 0.811 0.750 0.922
O 0.816 0.566 0.166
O 0.816 0.934 0.166
O 0.960 0.250 0.375
```

Results
energy of formation = -1.87 eV/atom
total energy = -151.4 eV/cell
V = 11.93 Å³/atom
size of the total moment = 0.0 μB per cell
energy relative to the lowest polymorph listed for this composition = 1.86 eV per formula unit